InSbP4O14 | GGA-PBE | optimized geometry

* energy: -137.3 eV/f.u.
* volume: 13.46 Å³/atom
* formation energy from the elements: -2.46 eV per atom

Cell and atoms, written as CIF:
```
data_InSbP4O14
_symmetry_space_group_name_H-M 'P n a 21'
_symmetry_Int_Tables_number 33
_symmetry_space_group_name_Hall 'P 2c -2n'
_cell_length_a 8.088
_cell_length_b 16.390
_cell_length_c 8.123
_cell_angle_alpha 90.00
_cell_angle_beta 90.00
_cell_angle_gamma 90.00
loop_
_atom_site_label
_atom_site_fract_x
_atom_site_fract_y
_atom_site_fract_z
In1 0.014 0.127 0.000
Sb1 0.014 0.378 0.499
P1 0.091 0.567 0.620
P2 0.101 0.813 0.898
P3 0.107 0.330 0.884
P4 0.122 0.076 0.601
O1 0.005 0.324 0.718
O2 0.022 0.410 0.968
O3 0.023 0.003 0.553
O4 0.028 0.425 0.272
O5 0.045 0.157 0.514
O6 0.069 0.257 0.987
O7 0.079 0.720 0.888
O8 0.099 0.853 0.732
O9 0.128 0.475 0.590
O10 0.141 0.097 0.780
O11 0.204 0.569 0.018
O12 0.214 0.854 0.360
O13 0.237 0.330 0.491
O14 0.248 0.615 0.631
```

---

Sr9InP7O28 | GGA-PBE | optimized geometry

* energy: -321.1 eV/f.u.
* volume: 14.92 Å³/atom
* formation energy from the elements: -3.24 eV per atom

Cell and atoms, written as CIF:
```
data_Sr9InP7O28
_symmetry_space_group_name_H-M 'C 1 c 1'
_symmetry_Int_Tables_number 9
_symmetry_space_group_name_Hall 'C -2yc'
_cell_length_a 14.717
_cell_length_b 10.802
_cell_length_c 18.291
_cell_angle_alpha 90.00
_cell_angle_beta 112.58
_cell_angle_gamma 90.00
loop_
_atom_site_label
_atom_site_fract_x
_atom_site_fract_y
_atom_site_fract_z
Sr1 0.000 0.002 0.000
Sr2 0.017 0.228 0.837
Sr3 0.055 0.275 0.341
Sr4 0.068 0.497 0.175
Sr5 0.226 0.220 0.723
Sr6 0.227 0.212 0.228
Sr7 0.291 0.499 0.602
Sr8 0.341 0.215 0.448
Sr9 0.342 0.222 0.953
In1 0.284 0.000 0.087
P1 0.132 0.259 0.531
P2 0.136 0.263 0.036
P3 0.175 0.006 0.882
P4 0.285 0.474 0.336
P5 0.395 0.006 0.794
P6 0.434 0.262 0.640
P7 0.439 0.259 0.145
O1 0.024 0.236 0.473
O2 0.027 0.247 0.981
O3 0.043 0.254 0.195
O4 0.046 0.265 0.704
O5 0.078 0.005 0.895
O6 0.142 0.359 0.594
O7 0.151 0.360 0.103
O8 0.168 0.132 0.578
O9 0.169 0.133 0.080
O10 0.183 0.112 0.337
O11 0.183 0.127 0.840
O12 0.195 0.294 0.484
O13 0.196 0.386 0.322
O14 0.198 0.297 0.988
O15 0.257 0.448 0.759
O16 0.268 0.003 0.964
O17 0.302 0.003 0.712
O18 0.314 0.442 0.910
O19 0.372 0.298 0.688
O20 0.374 0.383 0.352
O21 0.375 0.297 0.192
O22 0.386 0.112 0.339
O23 0.386 0.128 0.835
O24 0.400 0.133 0.596
O25 0.402 0.133 0.099
O26 0.419 0.361 0.574
O27 0.429 0.360 0.083
O28 0.492 0.005 0.780
```

---

SrIn2P4O16 | GGA-PBE | optimized geometry

* energy: -150.8 eV/f.u.
* volume: 14.34 Å³/atom
* formation energy from the elements: -2.34 eV per atom

Cell and atoms, written as CIF:
```
data_SrIn2P4O16
_symmetry_space_group_name_H-M 'C 2 2 21'
_symmetry_Int_Tables_number 20
_symmetry_space_group_name_Hall 'C 2c 2'
_cell_length_a 9.550
_cell_length_b 9.794
_cell_length_c 14.103
_cell_angle_alpha 90.00
_cell_angle_beta 90.00
_cell_angle_gamma 90.00
loop_
_atom_site_label
_atom_site_fract_x
_atom_site_fract_y
_atom_site_fract_z
Sr1 0.226 0.000 0.000
In1 0.000 0.150 0.750
In2 0.142 0.500 0.000
P1 0.053 0.202 0.508
P2 0.200 0.447 0.762
O1 0.024 0.145 0.903
O2 0.026 0.144 0.078
O3 0.040 0.361 0.507
O4 0.121 0.498 0.152
O5 0.141 0.024 0.269
O6 0.169 0.296 0.745
O7 0.171 0.470 0.330
O8 0.211 0.169 0.506
```